[1]
ZnH16C4Br4N2: optimized geometry, GGA-PBE.

The value obtained for the density is 2.06 g cm⁻³. Its space group is P2_1/c (14).

abc: 8.943 12.260 16.633
angles: 90.00 122.36 90.00
Sites, in units of the cell vectors:
1 Zn 0.241 0.200 0.419
2 Zn 0.241 0.300 0.919
3 Zn 0.759 0.700 0.081
4 Zn 0.759 0.800 0.581
5 H 0.061 0.698 0.929
6 H 0.061 0.802 0.429
7 H 0.064 0.184 0.135
8 H 0.064 0.316 0.635
9 H 0.102 0.675 0.490
10 H 0.102 0.825 0.990
11 H 0.106 0.543 0.317
12 H 0.106 0.957 0.817
13 H 0.169 0.523 0.077
14 H 0.169 0.977 0.577
15 H 0.172 0.729 0.338
16 H 0.172 0.771 0.838
17 H 0.218 0.522 0.443
18 H 0.218 0.978 0.943
19 H 0.254 0.046 0.688
20 H 0.254 0.454 0.188
21 H 0.274 0.600 0.186
22 H 0.274 0.900 0.686
23 H 0.279 0.509 0.740
24 H 0.279 0.991 0.240
25 H 0.324 0.716 0.456
26 H 0.324 0.784 0.956
27 H 0.343 0.555 0.391
28 H 0.343 0.945 0.891
29 H 0.397 0.068 0.199
30 H 0.397 0.432 0.699
31 H 0.419 0.578 0.709
32 H 0.419 0.922 0.209
33 H 0.440 0.062 0.623
34 H 0.440 0.438 0.123
35 H 0.470 0.574 0.130
36 H 0.470 0.926 0.630
37 H 0.530 0.074 0.370
38 H 0.530 0.426 0.870
39 H 0.560 0.562 0.877
40 H 0.560 0.938 0.377
41 H 0.581 0.078 0.791
42 H 0.581 0.422 0.291
43 H 0.603 0.568 0.301
44 H 0.603 0.932 0.801
45 H 0.657 0.055 0.109
46 H 0.657 0.445 0.609
47 H 0.676 0.216 0.044
48 H 0.676 0.284 0.544
49 H 0.721 0.009 0.760
50 H 0.721 0.491 0.260
51 H 0.726 0.100 0.314
52 H 0.726 0.400 0.814
53 H 0.746 0.546 0.812
54 H 0.746 0.954 0.312
55 H 0.782 0.022 0.057
56 H 0.782 0.478 0.557
57 H 0.828 0.229 0.162
58 H 0.828 0.271 0.662
59 H 0.831 0.023 0.423
60 H 0.831 0.477 0.923
61 H 0.894 0.043 0.183
62 H 0.894 0.457 0.683
63 H 0.898 0.175 0.010
64 H 0.898 0.325 0.510
65 H 0.936 0.684 0.365
66 H 0.936 0.816 0.865
67 H 0.939 0.198 0.571
68 H 0.939 0.302 0.071
69 C 0.065 0.714 0.422
70 C 0.065 0.786 0.922
71 C 0.218 0.568 0.387
72 C 0.218 0.932 0.887
73 C 0.274 0.522 0.152
74 C 0.274 0.978 0.652
75 C 0.401 0.504 0.739
76 C 0.401 0.996 0.239
77 C 0.599 0.004 0.761
78 C 0.599 0.496 0.261
79 C 0.726 0.022 0.348
80 C 0.726 0.478 0.848
81 C 0.782 0.068 0.113
82 C 0.782 0.432 0.613
83 C 0.935 0.214 0.078
84 C 0.935 0.286 0.578
85 Br 0.044 0.713 0.680
86 Br 0.044 0.787 0.180
87 Br 0.211 0.004 0.402
88 Br 0.211 0.496 0.902
89 Br 0.383 0.246 0.086
90 Br 0.383 0.254 0.586
91 Br 0.452 0.237 0.875
92 Br 0.452 0.263 0.375
93 Br 0.548 0.737 0.625
94 Br 0.548 0.763 0.125
95 Br 0.617 0.746 0.414
96 Br 0.617 0.754 0.914
97 Br 0.789 0.504 0.098
98 Br 0.789 0.996 0.598
99 Br 0.956 0.213 0.820
100 Br 0.956 0.287 0.320
101 N 0.202 0.687 0.400
102 N 0.202 0.813 0.900
103 N 0.447 0.508 0.161
104 N 0.447 0.992 0.661
105 N 0.553 0.008 0.339
106 N 0.553 0.492 0.839
107 N 0.798 0.187 0.100
108 N 0.798 0.313 0.600

***

[2]
Zr5Si6H36C12Br20O6: optimized geometry, GGA-PBE.

The value obtained for the density is 2.42 g cm⁻³. Its space group is P2_1/c (14).

abc: 10.257 23.751 14.186
angles: 90.00 96.98 90.00
Sites, in units of the cell vectors:
1 Zr 0.000 0.000 0.000
2 Zr 0.000 0.500 0.500
3 Zr 0.339 0.190 0.600
4 Zr 0.339 0.310 0.100
5 Zr 0.409 0.633 0.050
6 Zr 0.409 0.867 0.550
7 Zr 0.591 0.133 0.450
8 Zr 0.591 0.367 0.950
9 Zr 0.661 0.690 0.900
10 Zr 0.661 0.810 0.400
11 Si 0.014 0.526 0.272
12 Si 0.014 0.974 0.772
13 Si 0.148 0.582 0.657
14 Si 0.148 0.918 0.157
15 Si 0.164 0.611 0.434
16 Si 0.164 0.889 0.934
17 Si 0.836 0.111 0.066
18 Si 0.836 0.389 0.566
19 Si 0.852 0.082 0.843
20 Si 0.852 0.418 0.343
21 Si 0.986 0.026 0.228
22 Si 0.986 0.474 0.728
23 H 0.024 0.178 0.088
24 H 0.024 0.322 0.588
25 H 0.036 0.147 0.828
26 H 0.036 0.353 0.328
27 H 0.056 0.103 0.337
28 H 0.056 0.397 0.837
29 H 0.070 0.639 0.781
30 H 0.070 0.861 0.281
31 H 0.074 0.039 0.650
32 H 0.074 0.461 0.150
33 H 0.100 0.694 0.337
34 H 0.100 0.806 0.837
35 H 0.119 0.681 0.689
36 H 0.119 0.819 0.189
37 H 0.126 0.712 0.459
38 H 0.126 0.788 0.959
39 H 0.168 0.095 0.251
40 H 0.168 0.405 0.751
41 H 0.172 0.048 0.350
42 H 0.172 0.452 0.850
43 H 0.187 0.518 0.167
44 H 0.187 0.982 0.667
45 H 0.198 0.039 0.751
46 H 0.198 0.461 0.251
47 H 0.336 0.568 0.779
48 H 0.336 0.932 0.279
49 H 0.360 0.531 0.671
50 H 0.360 0.969 0.171
51 H 0.372 0.630 0.371
52 H 0.372 0.870 0.871
53 H 0.382 0.606 0.681
54 H 0.382 0.894 0.181
55 H 0.388 0.640 0.495
56 H 0.388 0.860 0.995
57 H 0.389 0.570 0.447
58 H 0.389 0.930 0.947
59 H 0.611 0.070 0.053
60 H 0.611 0.430 0.553
61 H 0.612 0.140 0.005
62 H 0.612 0.360 0.505
63 H 0.618 0.106 0.819
64 H 0.618 0.394 0.319
65 H 0.628 0.130 0.129
66 H 0.628 0.370 0.629
67 H 0.640 0.031 0.829
68 H 0.640 0.469 0.329
69 H 0.664 0.068 0.721
70 H 0.664 0.432 0.221
71 H 0.802 0.539 0.749
72 H 0.802 0.961 0.249
73 H 0.813 0.018 0.333
74 H 0.813 0.482 0.833
75 H 0.828 0.548 0.150
76 H 0.828 0.952 0.650
77 H 0.832 0.595 0.249
78 H 0.832 0.905 0.749
79 H 0.874 0.212 0.041
80 H 0.874 0.288 0.541
81 H 0.881 0.181 0.811
82 H 0.881 0.319 0.311
83 H 0.900 0.194 0.163
84 H 0.900 0.306 0.663
85 H 0.926 0.539 0.850
86 H 0.926 0.961 0.350
87 H 0.930 0.139 0.719
88 H 0.930 0.361 0.219
89 H 0.944 0.603 0.163
90 H 0.944 0.897 0.663
91 H 0.964 0.647 0.672
92 H 0.964 0.853 0.172
93 H 0.976 0.678 0.412
94 H 0.976 0.822 0.912
95 C 0.066 0.643 0.704
96 C 0.066 0.857 0.204
97 C 0.083 0.680 0.409
98 C 0.083 0.820 0.909
99 C 0.107 0.072 0.297
100 C 0.107 0.428 0.797
101 C 0.129 0.012 0.705
102 C 0.129 0.488 0.205
103 C 0.322 0.570 0.700
104 C 0.322 0.930 0.200
105 C 0.344 0.612 0.437
106 C 0.344 0.888 0.937
107 C 0.656 0.112 0.063
108 C 0.656 0.388 0.563
109 C 0.678 0.070 0.800
110 C 0.678 0.430 0.300
111 C 0.871 0.512 0.795
112 C 0.871 0.988 0.295
113 C 0.893 0.572 0.203
114 C 0.893 0.928 0.703
115 C 0.917 0.180 0.091
116 C 0.917 0.320 0.591
117 C 0.934 0.143 0.796
118 C 0.934 0.357 0.296
119 Br 0.098 0.171 0.547
120 Br 0.098 0.329 0.047
121 Br 0.211 0.058 0.006
122 Br 0.211 0.442 0.506
123 Br 0.224 0.570 0.972
124 Br 0.224 0.930 0.472
125 Br 0.264 0.700 0.133
126 Br 0.264 0.800 0.633
127 Br 0.326 0.205 0.127
128 Br 0.326 0.295 0.627
129 Br 0.344 0.158 0.772
130 Br 0.344 0.342 0.272
131 Br 0.378 0.204 0.411
132 Br 0.378 0.296 0.911
133 Br 0.385 0.700 0.886
134 Br 0.385 0.800 0.386
135 Br 0.412 0.081 0.553
136 Br 0.412 0.419 0.053
137 Br 0.482 0.571 0.192
138 Br 0.482 0.929 0.692
139 Br 0.518 0.071 0.308
140 Br 0.518 0.429 0.808
141 Br 0.588 0.581 0.947
142 Br 0.588 0.919 0.447
143 Br 0.615 0.200 0.614
144 Br 0.615 0.300 0.114
145 Br 0.622 0.704 0.089
146 Br 0.622 0.796 0.589
147 Br 0.656 0.658 0.728
148 Br 0.656 0.842 0.228
149 Br 0.674 0.705 0.373
150 Br 0.674 0.795 0.873
151 Br 0.736 0.200 0.367
152 Br 0.736 0.300 0.867
153 Br 0.776 0.070 0.528
154 Br 0.776 0.430 0.028
155 Br 0.789 0.558 0.494
156 Br 0.789 0.942 0.994
157 Br 0.902 0.671 0.953
158 Br 0.902 0.829 0.453
159 O 0.059 0.522 0.660
160 O 0.059 0.978 0.160
161 O 0.088 0.558 0.370
162 O 0.088 0.942 0.870
163 O 0.123 0.581 0.536
164 O 0.123 0.919 0.036
165 O 0.877 0.081 0.964
166 O 0.877 0.419 0.464
167 O 0.912 0.058 0.130
168 O 0.912 0.442 0.630
169 O 0.941 0.022 0.840
170 O 0.941 0.478 0.340

***

[3]
Zn3H24C12Br11O6: optimized geometry, GGA-PBE.

The value obtained for the density is 2.52 g cm⁻³. Its space group is P-1 (2).

abc: 8.211 14.002 16.800
angles: 73.92 76.77 74.86
Sites, in units of the cell vectors:
1 Zn 0.050 0.448 0.265
2 Zn 0.111 0.165 0.273
3 Zn 0.152 0.687 0.227
4 Zn 0.848 0.313 0.773
5 Zn 0.889 0.835 0.727
6 Zn 0.950 0.552 0.735
7 H 0.016 0.090 0.497
8 H 0.046 0.400 0.093
9 H 0.067 0.720 0.958
10 H 0.069 0.568 0.544
11 H 0.123 0.729 0.447
12 H 0.124 0.135 0.556
13 H 0.155 0.150 0.031
14 H 0.177 0.562 0.912
15 H 0.186 0.002 0.150
16 H 0.199 0.748 0.858
17 H 0.209 0.760 0.522
18 H 0.284 0.924 0.286
19 H 0.290 0.574 0.521
20 H 0.294 0.206 0.064
21 H 0.299 0.687 0.640
22 H 0.319 0.495 0.784
23 H 0.340 0.022 0.490
24 H 0.368 0.145 0.426
25 H 0.376 0.612 0.777
26 H 0.397 0.020 0.096
27 H 0.425 0.561 0.636
28 H 0.464 0.933 0.384
29 H 0.481 0.953 0.685
30 H 0.497 0.932 0.232
31 H 0.503 0.068 0.768
32 H 0.519 0.047 0.315
33 H 0.536 0.067 0.616
34 H 0.575 0.439 0.364
35 H 0.603 0.980 0.904
36 H 0.624 0.388 0.223
37 H 0.632 0.855 0.574
38 H 0.660 0.978 0.510
39 H 0.681 0.505 0.216
40 H 0.701 0.313 0.360
41 H 0.706 0.794 0.936
42 H 0.710 0.426 0.479
43 H 0.716 0.076 0.714
44 H 0.791 0.240 0.478
45 H 0.801 0.252 0.142
46 H 0.814 0.998 0.850
47 H 0.823 0.438 0.088
48 H 0.845 0.850 0.969
49 H 0.876 0.865 0.444
50 H 0.877 0.271 0.553
51 H 0.931 0.432 0.456
52 H 0.933 0.280 0.042
53 H 0.954 0.600 0.907
54 H 0.984 0.910 0.503
55 C 0.079 0.620 0.880
56 C 0.079 0.724 0.891
57 C 0.110 0.136 0.491
58 C 0.117 0.720 0.515
59 C 0.162 0.606 0.552
60 C 0.200 0.157 0.085
61 C 0.276 0.053 0.133
62 C 0.282 0.091 0.446
63 C 0.288 0.578 0.759
64 C 0.304 0.605 0.664
65 C 0.380 0.972 0.265
66 C 0.419 0.002 0.337
67 C 0.581 0.998 0.663
68 C 0.620 0.028 0.735
69 C 0.696 0.395 0.336
70 C 0.712 0.422 0.241
71 C 0.718 0.909 0.554
72 C 0.724 0.947 0.867
73 C 0.800 0.843 0.915
74 C 0.838 0.394 0.448
75 C 0.883 0.280 0.485
76 C 0.890 0.864 0.509
77 C 0.921 0.276 0.109
78 C 0.921 0.380 0.120
79 Br 0.012 0.607 0.152
80 Br 0.024 0.159 0.741
81 Br 0.153 0.880 0.662
82 Br 0.172 0.004 0.883
83 Br 0.185 0.531 0.344
84 Br 0.277 0.300 0.244
85 Br 0.291 0.875 0.996
86 Br 0.336 0.318 0.544
87 Br 0.436 0.308 0.669
88 Br 0.443 0.710 0.163
89 Br 0.493 0.560 0.040
90 Br 0.507 0.440 0.960
91 Br 0.557 0.290 0.837
92 Br 0.564 0.692 0.331
93 Br 0.664 0.682 0.456
94 Br 0.709 0.125 0.004
95 Br 0.723 0.700 0.756
96 Br 0.815 0.469 0.656
97 Br 0.828 0.996 0.117
98 Br 0.847 0.120 0.338
99 Br 0.976 0.841 0.259
100 Br 0.988 0.393 0.848
101 O 0.052 0.239 0.447
102 O 0.057 0.199 0.143
103 O 0.112 0.618 0.792
104 O 0.163 0.579 0.642
105 O 0.262 0.060 0.374
106 O 0.312 0.066 0.209
107 O 0.688 0.934 0.791
108 O 0.738 0.940 0.626
109 O 0.837 0.421 0.358
110 O 0.888 0.382 0.208
111 O 0.943 0.801 0.857
112 O 0.948 0.761 0.553

***

Number 1: ΔE_f -1066 kJ/mol of formula units. Number 2: ΔE_f -7372 kJ/mol of formula units. Number 3: ΔE_f -2492 kJ/mol of formula units.